(1)
Te6MoW3Se2 (PBE, optimized geometry); distance to the lowest polymorph of the same formula = 0 meV/atom; total magnetization = 0.0 μB per formula unit
1.0
1.749 -3.029 0.000
1.749 3.029 0.000
0.000 0.000 39.653
Te W Mo Se
6 3 1 2
direct
0.333 0.667 0.516
0.000 0.000 0.704
0.000 0.000 0.611
0.333 0.667 0.048
0.333 0.667 0.423
0.333 0.667 0.140
0.000 0.000 0.470
0.333 0.667 0.658
0.333 0.667 0.282
0.000 0.000 0.094
0.000 0.000 0.241
0.000 0.000 0.323

***

(2)
SrEuDyNbO6 (PBE, optimized geometry); distance to the lowest polymorph of the same formula = 0 meV/atom; total magnetization = 0.0 μB per formula unit
1.0
8.391 0.000 0.000
0.000 8.406 0.000
0.000 0.000 8.400
Eu Dy O Nb Sr
4 4 24 4 4
direct
0.500 0.500 0.500
0.000 0.000 0.000
0.500 0.000 0.000
0.000 0.500 0.000
0.750 0.250 0.250
0.250 0.250 0.750
0.250 0.750 0.250
0.750 0.750 0.750
0.486 0.291 0.215
0.291 0.784 0.514
0.207 0.286 0.013
0.986 0.792 0.284
0.793 0.714 0.013
0.709 0.784 0.486
0.285 0.014 0.207
0.986 0.208 0.716
0.793 0.286 0.987
0.715 0.986 0.207
0.514 0.291 0.785
0.709 0.216 0.514
0.291 0.216 0.486
0.014 0.208 0.284
0.514 0.709 0.215
0.486 0.709 0.785
0.715 0.014 0.793
0.784 0.514 0.291
0.207 0.714 0.987
0.216 0.514 0.709
0.014 0.792 0.716
0.285 0.986 0.793
0.216 0.486 0.291
0.784 0.486 0.709
0.750 0.750 0.250
0.250 0.750 0.750
0.250 0.250 0.250
0.750 0.250 0.750
0.000 0.500 0.500
0.500 0.500 0.000
0.500 0.000 0.500
0.000 0.000 0.500

***

(3)
LiYF2 (PBE, optimized geometry); distance to the lowest polymorph of the same formula = 67 meV/atom; total magnetization = 0.0 μB per formula unit
1.0
-3.369 3.369 6.331
3.369 -3.369 6.331
3.369 3.369 -6.331
Y F Li
4 8 4
direct
0.375 0.625 0.250
0.375 0.125 0.750
0.375 0.625 0.750
0.875 0.625 0.250
0.219 0.438 0.782
0.188 0.906 0.718
0.562 0.781 0.218
0.531 0.812 0.718
0.094 0.812 0.282
0.656 0.438 0.218
0.562 0.344 0.782
0.188 0.469 0.282
0.375 0.125 0.250
0.875 0.125 0.750
0.875 0.125 0.250
0.875 0.625 0.750

***

(4)
LiPH2O4 (PBE, optimized geometry); total magnetization = 0.0 μB per formula unit
1.0
6.394 0.000 0.000
0.000 6.926 0.000
0.000 0.000 7.702
O H Li P
16 8 4 4
direct
0.077 0.099 0.508
0.773 0.354 0.816
0.931 0.201 0.093
0.727 0.854 0.316
0.423 0.599 0.008
0.569 0.701 0.593
0.394 0.013 0.694
0.273 0.354 0.684
0.431 0.201 0.407
0.923 0.599 0.492
0.106 0.513 0.194
0.577 0.099 0.992
0.606 0.513 0.306
0.227 0.854 0.184
0.894 0.013 0.806
0.069 0.701 0.907
0.012 0.565 0.388
0.038 0.391 0.140
0.962 0.891 0.860
0.512 0.565 0.112
0.488 0.065 0.888
0.988 0.065 0.612
0.462 0.891 0.640
0.538 0.391 0.360
0.013 0.505 0.727
0.487 0.005 0.227
0.513 0.505 0.773
0.987 0.005 0.273
0.699 0.678 0.429
0.801 0.178 0.929
0.199 0.678 0.071
0.301 0.178 0.571

***

(5)
Al2PbSe4 (PBE, optimized geometry); distance to the lowest polymorph of the same formula = 0 meV/atom
1.0
4.342 4.547 -0.955
-5.437 -0.052 -3.296
-4.771 6.187 7.772
Se Al Pb
8 4 2
direct
0.818 0.651 0.000
0.500 0.000 0.168
0.000 0.500 0.332
0.500 0.000 0.832
0.182 0.349 0.000
0.000 0.500 0.668
0.651 0.818 0.500
0.349 0.182 0.500
0.758 0.240 0.000
0.760 0.242 0.500
0.242 0.760 0.000
0.240 0.758 0.500
0.500 0.500 0.250
0.500 0.500 0.750

***

(6)
HfTc2Mo (PBE, optimized geometry); distance to the lowest polymorph of the same formula = 0 meV/atom
1.0
2.850 1.132 3.308
0.877 4.346 0.832
-1.566 1.937 3.761
Hf Tc Mo
1 2 1
direct
0.500 0.500 0.500
0.250 0.250 0.250
0.750 0.750 0.750
0.000 0.000 0.000

***

Values of calculated volume, in order: 420, 593, 287, 341, 383, 65, all in Å³/cell.
Values of formation energy, in order: -0.3044, -3.4356, -2.5575, -2.1956, -1.0607, -0.2945, all in eV per atom.